# Mg2Ta4Si3S6O36 PBE relaxed
# Formation enthalpy at 0 K, eV/atom: -2.572
# Total energy, eV per atom: -7.378
# Space-group type: No. 9
# Crystal system: monoclinic
data_Mg2Ta4Si3S6O36
_chemical_formula_sum 'Mg4 Ta8 Si6 S12 O72'
_space_group_name_H-M_alt 'P 1'
_space_group_IT_number 1
_space_group_name_Hall 'P 1'
_cell_length_a 8.832
_cell_length_b 8.812
_cell_length_c 22.718
_cell_angle_alpha 90.15
_cell_angle_beta 90.00
_cell_angle_gamma 120.08
loop_
_atom_site_label
_atom_site_type_symbol
_atom_site_fract_x
_atom_site_fract_y
_atom_site_fract_z
O1 O 0.185 0.168 0.096
O2 O 0.494 0.365 0.143
O3 O 0.032 0.821 0.406
O4 O 0.027 0.210 0.907
O5 O 0.319 0.832 0.971
O6 O 0.798 0.969 0.698
O7 O 0.160 0.465 0.260
O8 O 0.294 0.832 0.258
O9 O 0.513 0.832 0.471
O10 O 0.202 0.027 0.593
Si1 Si 0.954 0.341 0.587
O11 O 0.135 0.496 0.863
O12 O 0.824 0.027 0.093
O13 O 0.790 0.821 0.906
Si2 Si 0.387 0.341 0.087
O14 O 0.536 0.690 0.968
Si3 Si 0.943 0.610 0.087
O15 O 0.851 0.536 0.744
Ta1 Ta 0.323 0.669 0.025
O16 O 0.203 0.181 0.803
Ta2 Ta 0.683 0.338 0.477
Ta3 Ta 0.346 0.669 0.525
O17 O 0.361 0.496 0.363
S1 S 0.667 0.048 0.084
O18 O 0.701 0.157 0.031
S2 S 0.333 0.380 0.416
O19 O 0.205 0.025 0.303
O20 O 0.831 0.525 0.025
S3 S 0.620 0.671 0.915
Mg1 Mg 0.007 0.002 0.856
O21 O 0.821 0.796 0.303
O22 O 0.518 0.143 0.927
O23 O 0.463 0.145 0.241
Ta4 Ta 0.340 0.675 0.309
S4 S 0.287 0.004 0.251
O24 O 0.531 0.694 0.259
O25 O 0.695 0.525 0.525
O26 O 0.682 0.145 0.741
O27 O 0.305 0.465 0.760
O28 O 0.469 0.299 0.026
O29 O 0.182 0.210 0.407
O30 O 0.037 0.826 0.698
Ta5 Ta 0.997 0.003 0.641
S5 S 0.995 0.712 0.751
O31 O 0.174 0.205 0.698
O32 O 0.364 0.854 0.859
O33 O 0.624 0.143 0.427
O34 O 0.789 0.826 0.198
O35 O 0.537 0.832 0.758
O36 O 0.495 0.372 0.424
O37 O 0.171 0.969 0.198
Mg2 Mg 0.995 0.002 0.356
O38 O 0.518 0.867 0.072
Mg3 Mg 0.672 0.342 0.687
O39 O 0.877 0.372 0.924
S6 S 0.381 0.048 0.584
O40 O 0.160 0.465 0.969
O41 O 0.461 0.307 0.742
O42 O 0.030 0.205 0.198
S7 S 0.716 0.712 0.251
Ta6 Ta 0.655 0.338 0.977
O43 O 0.163 0.694 0.759
O44 O 0.305 0.465 0.469
O45 O 0.876 0.498 0.143
S8 S 0.290 0.285 0.752
O46 O 0.485 0.115 0.637
Ta7 Ta 0.335 0.675 0.809
O47 O 0.503 0.632 0.862
S9 S 0.051 0.671 0.415
O48 O 0.166 0.976 0.908
S10 S 0.047 0.380 0.916
O49 O 0.144 0.652 0.071
O50 O 0.129 0.632 0.362
O51 O 0.811 0.976 0.408
O52 O 0.144 0.502 0.567
S11 S 0.995 0.285 0.252
O53 O 0.622 0.498 0.643
O54 O 0.630 0.115 0.137
O55 O 0.842 0.811 0.596
O56 O 0.686 0.536 0.244
S12 S 0.716 0.004 0.751
O57 O 0.456 0.157 0.531
O58 O 0.820 0.025 0.803
O59 O 0.846 0.307 0.242
O60 O 0.508 0.652 0.571
O61 O 0.969 0.811 0.096
O62 O 0.976 0.796 0.803
Mg4 Mg 0.671 0.342 0.187
O63 O 0.830 0.299 0.526
O64 O 0.154 0.690 0.468
Si4 Si 0.667 0.610 0.587
O65 O 0.870 0.365 0.643
O66 O 0.489 0.854 0.359
O67 O 0.978 0.181 0.303
O68 O 0.983 0.168 0.596
O69 O 0.633 0.506 0.922
O70 O 0.873 0.506 0.422
Si5 Si 0.331 0.959 0.916
O71 O 0.349 0.867 0.572
O72 O 0.358 0.502 0.067
Ta8 Ta 0.006 0.003 0.141
Si6 Si 0.628 0.959 0.416

---

# Mg2Ta2SiS5O24 PBE relaxed
# Formation enthalpy at 0 K, eV/atom: -2.414
# Total energy, eV per atom: -6.981
# Space-group type: No. 1
# Crystal system: triclinic
data_Mg2Ta2SiS5O24
_chemical_formula_sum 'Mg6 Ta6 Si3 S15 O72'
_space_group_name_H-M_alt 'P 1'
_space_group_IT_number 1
_space_group_name_Hall 'P 1'
_cell_length_a 8.783
_cell_length_b 8.774
_cell_length_c 22.577
_cell_angle_alpha 90.03
_cell_angle_beta 89.99
_cell_angle_gamma 119.98
loop_
_atom_site_label
_atom_site_type_symbol
_atom_site_fract_x
_atom_site_fract_y
_atom_site_fract_z
S1 S 0.334 0.381 0.417
S2 S 0.049 0.669 0.416
Ta1 Ta 0.004 0.006 0.141
O1 O 0.706 0.165 0.030
S3 S 0.997 0.286 0.250
O2 O 0.364 0.869 0.864
O3 O 0.515 0.829 0.472
O4 O 0.169 0.967 0.197
S4 S 0.378 0.049 0.585
O5 O 0.470 0.318 0.742
Ta2 Ta 0.675 0.325 0.479
O6 O 0.464 0.160 0.529
S5 S 0.993 0.713 0.751
O7 O 0.508 0.639 0.573
O8 O 0.022 0.204 0.906
Si1 Si 0.956 0.325 0.589
O9 O 0.515 0.875 0.072
O10 O 0.849 0.311 0.239
O11 O 0.846 0.536 0.746
O12 O 0.153 0.461 0.969
O13 O 0.506 0.633 0.864
S6 S 0.715 0.005 0.751
O14 O 0.879 0.512 0.137
O15 O 0.626 0.507 0.636
O16 O 0.531 0.691 0.259
O17 O 0.477 0.302 0.026
O18 O 0.203 0.024 0.303
O19 O 0.346 0.498 0.072
O20 O 0.162 0.692 0.762
Si2 Si 0.386 0.350 0.087
O21 O 0.187 0.156 0.095
O22 O 0.037 0.824 0.407
O23 O 0.868 0.364 0.925
O24 O 0.799 0.818 0.906
S7 S 0.671 0.619 0.585
O25 O 0.463 0.143 0.242
O26 O 0.184 0.210 0.407
O27 O 0.823 0.791 0.590
Mg1 Mg 0.998 0.001 0.357
O28 O 0.037 0.822 0.698
S8 S 0.716 0.710 0.251
S9 S 0.624 0.673 0.917
O29 O 0.644 0.128 0.137
S10 S 0.954 0.618 0.084
O30 O 0.292 0.829 0.257
O31 O 0.870 0.510 0.424
O32 O 0.640 0.506 0.925
O33 O 0.157 0.689 0.469
O34 O 0.980 0.160 0.589
Ta3 Ta 0.656 0.331 0.978
O35 O 0.161 0.464 0.257
O36 O 0.790 0.824 0.197
O37 O 0.186 0.982 0.907
O38 O 0.685 0.531 0.529
O39 O 0.831 0.309 0.526
O40 O 0.029 0.201 0.196
O41 O 0.690 0.536 0.243
O42 O 0.304 0.466 0.469
Mg2 Mg 0.001 0.002 0.852
Ta4 Ta 0.341 0.675 0.310
Mg3 Mg 0.664 0.335 0.188
O43 O 0.677 0.146 0.744
Mg4 Mg 0.998 0.004 0.643
S11 S 0.286 0.002 0.251
O44 O 0.813 0.977 0.407
O45 O 0.817 0.027 0.805
O46 O 0.130 0.655 0.072
O47 O 0.308 0.848 0.970
Mg5 Mg 0.331 0.663 0.022
O48 O 0.502 0.130 0.924
O49 O 0.497 0.357 0.142
S12 S 0.663 0.046 0.084
O50 O 0.626 0.142 0.426
S13 S 0.046 0.377 0.917
S14 S 0.330 0.950 0.917
O51 O 0.979 0.797 0.805
O52 O 0.180 0.216 0.699
Si3 Si 0.630 0.956 0.417
O53 O 0.146 0.504 0.568
O54 O 0.779 0.957 0.699
O55 O 0.974 0.179 0.302
O56 O 0.360 0.497 0.363
O57 O 0.213 0.184 0.805
O58 O 0.363 0.870 0.573
Mg6 Mg 0.676 0.337 0.689
O59 O 0.498 0.377 0.424
O60 O 0.837 0.537 0.030
S15 S 0.292 0.282 0.751
O61 O 0.130 0.495 0.863
O62 O 0.543 0.697 0.969
O63 O 0.488 0.121 0.636
O64 O 0.310 0.471 0.762
O65 O 0.527 0.835 0.764
O66 O 0.821 0.795 0.303
Ta5 Ta 0.340 0.670 0.526
O67 O 0.127 0.629 0.362
Ta6 Ta 0.329 0.663 0.808
O68 O 0.490 0.856 0.359
O69 O 0.202 0.021 0.589
O70 O 0.960 0.795 0.093
O71 O 0.828 0.028 0.092
O72 O 0.873 0.380 0.640

---

# MgSnS3O12 PBE relaxed
# Formation enthalpy at 0 K, eV/atom: -2.054
# Total energy, eV per atom: -6.122
data_MgSnS3O12
_chemical_formula_sum 'Mg6 Sn6 S18 O72'
_space_group_name_H-M_alt 'P 1'
_space_group_IT_number 1
_space_group_name_Hall 'P 1'
_cell_length_a 8.701
_cell_length_b 8.701
_cell_length_c 22.460
_cell_angle_alpha 90.00
_cell_angle_beta 90.00
_cell_angle_gamma 120.00
loop_
_atom_site_label
_atom_site_type_symbol
_atom_site_fract_x
_atom_site_fract_y
_atom_site_fract_z
S1 S 0.995 0.706 0.752
O1 O 0.638 0.512 0.637
Sn1 Sn 0.000 0.000 0.647
O2 O 0.541 0.845 0.470
O3 O 0.450 0.296 0.030
S2 S 0.960 0.338 0.585
O4 O 0.023 0.200 0.908
S3 S 0.294 0.005 0.252
O5 O 0.846 0.296 0.530
S4 S 0.627 0.955 0.418
O6 O 0.865 0.506 0.424
O7 O 0.023 0.823 0.408
S5 S 0.045 0.373 0.918
O8 O 0.198 0.172 0.091
O9 O 0.828 0.025 0.091
O10 O 0.512 0.883 0.363
Sn2 Sn 0.667 0.333 0.980
O11 O 0.541 0.696 0.970
Sn3 Sn 0.333 0.667 0.814
O12 O 0.971 0.792 0.803
O13 O 0.304 0.845 0.970
O14 O 0.531 0.692 0.257
Mg1 Mg 0.000 0.000 0.354
O15 O 0.510 0.867 0.074
O16 O 0.155 0.459 0.970
Mg2 Mg 0.333 0.667 0.021
O17 O 0.800 0.823 0.908
Mg3 Mg 0.333 0.667 0.521
Mg4 Mg 0.000 0.000 0.854
O18 O 0.641 0.506 0.924
O19 O 0.822 0.792 0.303
S6 S 0.662 0.040 0.085
O20 O 0.467 0.310 0.741
O21 O 0.494 0.359 0.424
S7 S 0.378 0.040 0.585
O22 O 0.117 0.629 0.363
S8 S 0.960 0.622 0.085
O23 O 0.179 0.963 0.196
O24 O 0.494 0.135 0.924
S9 S 0.711 0.005 0.752
Sn4 Sn 0.333 0.667 0.314
O25 O 0.843 0.310 0.241
O26 O 0.843 0.533 0.741
O27 O 0.975 0.802 0.091
O28 O 0.704 0.550 0.530
O29 O 0.037 0.821 0.696
S10 S 0.378 0.338 0.085
O30 O 0.371 0.488 0.363
O31 O 0.208 0.029 0.303
O32 O 0.510 0.643 0.574
O33 O 0.488 0.362 0.137
S11 S 0.328 0.955 0.918
O34 O 0.161 0.692 0.757
Mg5 Mg 0.667 0.333 0.688
S12 S 0.328 0.373 0.418
O35 O 0.450 0.154 0.530
O36 O 0.161 0.469 0.257
O37 O 0.304 0.459 0.470
O38 O 0.971 0.178 0.303
O39 O 0.704 0.154 0.030
O40 O 0.133 0.490 0.574
O41 O 0.308 0.839 0.257
O42 O 0.208 0.178 0.803
O43 O 0.874 0.512 0.137
O44 O 0.690 0.157 0.741
O45 O 0.828 0.802 0.591
O46 O 0.467 0.157 0.241
O47 O 0.874 0.362 0.637
O48 O 0.512 0.629 0.863
O49 O 0.179 0.216 0.696
O50 O 0.371 0.883 0.863
O51 O 0.177 0.200 0.408
O52 O 0.784 0.963 0.696
O53 O 0.800 0.977 0.408
O54 O 0.037 0.216 0.196
O55 O 0.177 0.977 0.908
O56 O 0.784 0.821 0.196
O57 O 0.357 0.867 0.574
S13 S 0.662 0.622 0.585
S14 S 0.711 0.706 0.252
O58 O 0.133 0.643 0.074
O59 O 0.198 0.025 0.591
O60 O 0.690 0.533 0.241
O61 O 0.155 0.696 0.470
O62 O 0.846 0.550 0.030
O63 O 0.488 0.126 0.637
O64 O 0.638 0.126 0.137
O65 O 0.357 0.490 0.074
O66 O 0.822 0.029 0.803
O67 O 0.865 0.359 0.924
S15 S 0.045 0.672 0.418
O68 O 0.117 0.488 0.863
S16 S 0.294 0.289 0.752
S17 S 0.995 0.289 0.252
Sn5 Sn 0.667 0.333 0.480
O69 O 0.531 0.839 0.757
O70 O 0.308 0.469 0.757
O71 O 0.641 0.135 0.424
S18 S 0.627 0.672 0.918
Mg6 Mg 0.667 0.333 0.188
Sn6 Sn 0.000 0.000 0.147
O72 O 0.975 0.172 0.591

---

# Sr4MgS4O16 PBE relaxed
# Formation enthalpy at 0 K, eV/atom: -2.461
# Total energy, eV per atom: -6.184
# Space-group type: No. 6
# Crystal system: monoclinic
# Polymorph energy (0 for the lowest one), meV per atom: 0
data_Sr4MgS4O16
_chemical_formula_sum 'Sr4 Mg1 S4 O16'
_space_group_name_H-M_alt 'P 1'
_space_group_IT_number 1
_space_group_name_Hall 'P 1'
_cell_length_a 5.225
_cell_length_b 4.688
_cell_length_c 17.498
_cell_angle_alpha 88.16
_cell_angle_beta 90.00
_cell_angle_gamma 90.00
loop_
_atom_site_label
_atom_site_type_symbol
_atom_site_fract_x
_atom_site_fract_y
_atom_site_fract_z
O1 O 0.750 0.707 0.683
Sr1 Sr 0.750 0.724 0.418
O2 O 0.250 0.297 0.316
O3 O 0.517 0.744 0.562
O4 O 0.250 0.633 0.807
Mg1 Mg 0.250 0.773 0.998
Sr2 Sr 0.250 0.278 0.581
O5 O 0.988 0.813 0.157
S1 S 0.250 0.314 0.802
S2 S 0.250 0.167 0.394
O6 O 0.750 0.386 0.190
S3 S 0.750 0.704 0.197
O7 O 0.750 0.786 0.277
O8 O 0.983 0.744 0.562
Sr3 Sr 0.250 0.268 0.179
O9 O 0.512 0.813 0.157
O10 O 0.017 0.257 0.437
O11 O 0.483 0.257 0.437
O12 O 0.013 0.208 0.841
O13 O 0.750 0.152 0.606
O14 O 0.250 0.850 0.392
Sr4 Sr 0.750 0.751 0.821
O15 O 0.250 0.231 0.721
S4 S 0.750 0.835 0.606
O16 O 0.487 0.208 0.841

---

# Sr4MgS4O16 PBE relaxed
# Formation enthalpy at 0 K, eV/atom: -2.455
# Total energy, eV per atom: -6.178
# Space-group type: No. 6
# Crystal system: monoclinic
# Polymorph energy (0 for the lowest one), meV per atom: 6
data_Sr4MgS4O16
_chemical_formula_sum 'Sr4 Mg1 S4 O16'
_space_group_name_H-M_alt 'P 1'
_space_group_IT_number 1
_space_group_name_Hall 'P 1'
_cell_length_a 5.215
_cell_length_b 4.718
_cell_length_c 17.242
_cell_angle_alpha 90.66
_cell_angle_beta 90.00
_cell_angle_gamma 90.00
loop_
_atom_site_label
_atom_site_type_symbol
_atom_site_fract_x
_atom_site_fract_y
_atom_site_fract_z
O1 O 0.516 0.779 0.021
O2 O 0.517 0.743 0.610
Sr1 Sr 0.250 0.275 0.621
O3 O 0.984 0.779 0.021
O4 O 0.250 0.235 0.770
O5 O 0.018 0.266 0.893
O6 O 0.750 0.826 0.144
O7 O 0.482 0.266 0.893
O8 O 0.250 0.839 0.435
O9 O 0.750 0.155 0.656
Sr2 Sr 0.250 0.248 0.030
S1 S 0.250 0.157 0.436
Mg1 Mg 0.750 0.989 0.268
O10 O 0.250 0.282 0.359
S2 S 0.250 0.359 0.847
S3 S 0.750 0.694 0.067
S4 S 0.750 0.840 0.655
O11 O 0.750 0.377 0.069
O12 O 0.250 0.674 0.848
O13 O 0.750 0.724 0.734
O14 O 0.017 0.246 0.483
Sr3 Sr 0.750 0.801 0.872
Sr4 Sr 0.750 0.704 0.461
O15 O 0.983 0.743 0.610
O16 O 0.483 0.246 0.483